An optimized crystal structure of Te4MoW3Se2S2, computed with PBE.

Results
Energy of formation from the pure elements (meV/atom): -457
E above lowest polymorph (meV/atom): 0
Volume (Å³/f.u.): 387.05
Total energy (eV per atom): -6.836

Lattice parameters (Å, degrees): 3.3963 3.3963 38.7461 90.00 90.00 120.00
Fractional coordinates of all 12 atoms:
Te1 0.0000 0.0000 0.0000
Te2 0.0000 0.0000 0.0973
Te3 0.3333 0.6667 0.4367
Te4 0.3333 0.6667 0.5334
Mo1 0.0000 0.0000 0.4850
W1 0.0000 0.0000 0.8608
W2 0.3333 0.6667 0.0487
W3 0.3333 0.6667 0.6730
Se1 0.0000 0.0000 0.6302
Se2 0.0000 0.0000 0.7157
S1 0.3333 0.6667 0.8219
S2 0.3333 0.6667 0.8997

An optimized crystal structure of RbSrCl3, computed with PBE.

Results
Energy of formation from the pure elements (meV/atom): -2641
Volume (Å³/f.u.): 187.12
Total energy (eV per atom): -3.916

Lattice parameters (Å, degrees): 8.4872 8.4872 8.4872 54.24 54.24 54.24
Fractional coordinates of all 10 atoms:
Rb1 0.1405 0.1405 0.1405
Rb2 0.8595 0.8595 0.8595
Sr1 0.3436 0.3436 0.3436
Sr2 0.6564 0.6564 0.6564
Cl1 0.0546 0.4679 0.7037
Cl2 0.2963 0.9454 0.5321
Cl3 0.4679 0.7037 0.0546
Cl4 0.5321 0.2963 0.9454
Cl5 0.7037 0.0546 0.4679
Cl6 0.9454 0.5321 0.2963

An optimized crystal structure of Ba8Ta7O24, computed with PBE.

Results
Energy of formation from the pure elements (meV/atom): -3346
Volume (Å³/f.u.): 580.73
Total energy (eV per atom): -8.490

Lattice parameters (Å, degrees): 5.9121 5.9121 19.1849 90.00 90.00 120.00
Fractional coordinates of all 39 atoms:
Ba1 0.0000 0.0000 0.0000
Ba2 0.0000 0.0000 0.2193
Ba3 0.0000 0.0000 0.6164
Ba4 0.3333 0.6667 0.1247
Ba5 0.3333 0.6667 0.4983
Ba6 0.3333 0.6667 0.7325
Ba7 0.6667 0.3333 0.3496
Ba8 0.6667 0.3333 0.8699
Ta1 0.0000 0.0000 0.4274
Ta2 0.0000 0.0000 0.8055
Ta3 0.3333 0.6667 0.3026
Ta4 0.3333 0.6667 0.9291
Ta5 0.6667 0.3333 0.0613
Ta6 0.6667 0.3333 0.5495
Ta7 0.6667 0.3333 0.6850
O1 0.0058 0.5029 0.9857
O2 0.0223 0.5112 0.2507
O3 0.1646 0.3291 0.3751
O4 0.1646 0.8354 0.3751
O5 0.1676 0.3352 0.8650
O6 0.1676 0.8324 0.8650
O7 0.3256 0.1628 0.4939
O8 0.3275 0.1637 0.7438
O9 0.3419 0.1709 0.1068
O10 0.4888 0.5112 0.2507
O11 0.4888 0.9777 0.2507
O12 0.4971 0.5029 0.9857
O13 0.4971 0.9942 0.9857
O14 0.5062 0.0124 0.6170
O15 0.5062 0.4938 0.6170
O16 0.6648 0.8324 0.8650
O17 0.6709 0.8354 0.3751
O18 0.8291 0.1709 0.1068
O19 0.8291 0.6581 0.1068
O20 0.8363 0.1637 0.7438
O21 0.8363 0.6725 0.7438
O22 0.8372 0.1628 0.4939
O23 0.8372 0.6744 0.4939
O24 0.9876 0.4938 0.6170

An optimized crystal structure of SO4, computed with PBE.

Results
Energy of formation from the pure elements (meV/atom): -1103
E above lowest polymorph (meV/atom): 20
Volume (Å³/f.u.): 108.62
Total energy (eV per atom): -5.339

Lattice parameters (Å, degrees): 5.3557 5.3557 5.3557 60.00 60.00 60.00
Fractional coordinates of all 5 atoms:
S1 0.0000 0.0000 0.0000
O1 0.3391 0.8870 0.8870
O2 0.8870 0.3391 0.8870
O3 0.8870 0.8870 0.3391
O4 0.8870 0.8870 0.8870